*i*
This record from the Materials Project database describes a relaxed structure of VCr2O6. The functional is PBE with a Hubbard U.

Lattice parameters (Å, degrees): 4.4421 16.6583 4.9191 90.00 90.00 90.00
With the nearest neighbours (Å) after each atom.
Atoms (fractional coordinates):
1 V 0.0000 0.1123 0.2500  6 O 1.83-2.02
2 V 0.0000 0.8877 0.7500  6 O 1.83-2.02
3 V 0.5000 0.3877 0.7500  6 O 1.83-2.02
4 V 0.5000 0.6123 0.2500  6 O 1.83-2.02
5 Cr 0.0000 0.2176 0.7500  6 O 1.94-2.00
6 Cr 0.0000 0.4495 0.2500  6 O 1.99-2.02
7 Cr 0.0000 0.5505 0.7500  6 O 1.99-2.02
8 Cr 0.0000 0.7824 0.2500  6 O 1.94-2.00
9 Cr 0.5000 0.0505 0.7500  6 O 1.99-2.02
10 Cr 0.5000 0.2824 0.2500  6 O 1.94-2.00
11 Cr 0.5000 0.7176 0.7500  6 O 1.94-2.00
12 Cr 0.5000 0.9495 0.2500  6 O 1.99-2.02
13 O 0.2251 0.1285 0.5699  1 V 1.88, 2 Cr 1.99-2.00
14 O 0.2251 0.2058 0.0874  2 Cr 1.94-1.95, 1 V 2.02
15 O 0.2251 0.7942 0.5874  2 Cr 1.94-1.95, 1 V 2.02
16 O 0.2251 0.8715 0.0699  1 V 1.88, 2 Cr 1.99-2.00
17 O 0.2396 0.4586 0.5920  1 V 1.83, 2 Cr 2.00-2.02
18 O 0.2396 0.5414 0.0920  1 V 1.83, 2 Cr 2.00-2.02
19 O 0.2604 0.0414 0.0920  1 V 1.83, 2 Cr 2.00-2.02
20 O 0.2604 0.9586 0.5920  1 V 1.83, 2 Cr 2.00-2.02
21 O 0.2749 0.2942 0.5874  2 Cr 1.94-1.95, 1 V 2.02
22 O 0.2749 0.3715 0.0699  1 V 1.88, 2 Cr 1.99-2.00
23 O 0.2749 0.6285 0.5699  1 V 1.88, 2 Cr 1.99-2.00
24 O 0.2749 0.7058 0.0874  2 Cr 1.94-1.95, 1 V 2.02
25 O 0.7251 0.2942 0.9126  2 Cr 1.94-1.95, 1 V 2.02
26 O 0.7251 0.3715 0.4301  1 V 1.88, 2 Cr 1.99-2.00
27 O 0.7251 0.6285 0.9301  1 V 1.88, 2 Cr 1.99-2.00
28 O 0.7251 0.7058 0.4126  2 Cr 1.94-1.95, 1 V 2.02
29 O 0.7396 0.0414 0.4080  1 V 1.83, 2 Cr 2.00-2.02
30 O 0.7396 0.9586 0.9080  1 V 1.83, 2 Cr 2.00-2.02
31 O 0.7604 0.4586 0.9080  1 V 1.83, 2 Cr 2.00-2.02
32 O 0.7604 0.5414 0.4080  1 V 1.83, 2 Cr 2.00-2.02
33 O 0.7749 0.1285 0.9301  1 V 1.88, 2 Cr 1.99-2.00
34 O 0.7749 0.2058 0.4126  2 Cr 1.94-1.95, 1 V 2.02
35 O 0.7749 0.7942 0.9126  2 Cr 1.94-1.95, 1 V 2.02
36 O 0.7749 0.8715 0.4301  1 V 1.88, 2 Cr 1.99-2.00

Its symmetry is Pbcn (60).

***

*ii*
This record from the Materials Project database describes a relaxed structure of VCr2O6. The functional is PBE with a Hubbard U.

Lattice parameters (Å, degrees): 13.9075 5.4239 5.1716 90.00 90.00 90.00
With the nearest neighbours (Å) after each atom.
Atoms (fractional coordinates):
1 V 0.0000 0.1584 0.2500  6 O 1.81-2.00
2 V 0.0000 0.8416 0.7500  6 O 1.81-2.00
3 V 0.5000 0.3416 0.7500  6 O 1.81-2.00
4 V 0.5000 0.6584 0.2500  6 O 1.81-2.00
5 Cr 0.1743 0.3577 0.5094  6 O 1.91-2.03
6 Cr 0.1743 0.6423 0.0094  6 O 1.91-2.03
7 Cr 0.3257 0.1423 0.0094  6 O 1.91-2.03
8 Cr 0.3257 0.8577 0.5094  6 O 1.91-2.03
9 Cr 0.6743 0.1423 0.4906  6 O 1.91-2.03
10 Cr 0.6743 0.8577 0.9906  6 O 1.91-2.03
11 Cr 0.8257 0.3577 0.9906  6 O 1.91-2.03
12 Cr 0.8257 0.6423 0.4906  6 O 1.91-2.03
13 O 0.0698 0.1099 0.5625  2 V 1.90-2.00, 1 Cr 2.00
14 O 0.0698 0.8901 0.0625  2 V 1.90-2.00, 1 Cr 2.00
15 O 0.0935 0.3830 0.1905  1 V 1.81, 1 Cr 2.00
16 O 0.0935 0.6170 0.6905  1 V 1.81, 1 Cr 2.00
17 O 0.2401 0.3702 0.8468  3 Cr 1.91-1.97
18 O 0.2401 0.6298 0.3468  3 Cr 1.91-1.97
19 O 0.2599 0.1298 0.3468  3 Cr 1.91-1.97
20 O 0.2599 0.8702 0.8468  3 Cr 1.91-1.97
21 O 0.4065 0.1170 0.6905  1 V 1.81, 1 Cr 2.00
22 O 0.4065 0.8830 0.1905  1 V 1.81, 1 Cr 2.00
23 O 0.4302 0.3901 0.0625  2 V 1.90-2.00, 1 Cr 2.00
24 O 0.4302 0.6099 0.5625  2 V 1.90-2.00, 1 Cr 2.00
25 O 0.5698 0.3901 0.4375  2 V 1.90-2.00, 1 Cr 2.00
26 O 0.5698 0.6099 0.9375  2 V 1.90-2.00, 1 Cr 2.00
27 O 0.5935 0.1170 0.8095  1 V 1.81, 1 Cr 2.00
28 O 0.5935 0.8830 0.3095  1 V 1.81, 1 Cr 2.00
29 O 0.7401 0.1298 0.1532  3 Cr 1.91-1.97
30 O 0.7401 0.8702 0.6532  3 Cr 1.91-1.97
31 O 0.7599 0.3702 0.6532  3 Cr 1.91-1.97
32 O 0.7599 0.6298 0.1532  3 Cr 1.91-1.97
33 O 0.9065 0.3830 0.3095  1 V 1.81, 1 Cr 2.00
34 O 0.9065 0.6170 0.8095  1 V 1.81, 1 Cr 2.00
35 O 0.9302 0.1099 0.9375  2 V 1.90-2.00, 1 Cr 2.00
36 O 0.9302 0.8901 0.4375  2 V 1.90-2.00, 1 Cr 2.00

Its symmetry is Pbcn (60).

***

Order of stability, best first: *i*, *ii*

***

*i*
This record from the Materials Project database describes a relaxed structure of V4Cr2O13. The functional is PBE with a Hubbard U.

Lattice parameters (Å, degrees): 8.5938 9.4106 14.7234 90.00 104.03 90.00
With the nearest neighbours (Å) after each atom.
Atoms (fractional coordinates):
1 V 0.0082 0.2462 0.4269  4 O 1.68-1.80
2 V 0.0082 0.2538 0.9269  4 O 1.68-1.80
3 V 0.2143 0.2234 0.6576  4 O 1.69-1.81
4 V 0.2143 0.2766 0.1576  4 O 1.69-1.81
5 V 0.2917 0.6946 0.3387  4 O 1.69-1.82
6 V 0.2917 0.8054 0.8387  4 O 1.69-1.82
7 V 0.3803 0.7418 0.5734  4 O 1.69-1.81
8 V 0.3803 0.7582 0.0734  4 O 1.69-1.81
9 V 0.6197 0.2418 0.9266  4 O 1.69-1.81
10 V 0.6197 0.2582 0.4266  4 O 1.69-1.81
11 V 0.7083 0.1946 0.1613  4 O 1.69-1.82
12 V 0.7083 0.3054 0.6613  4 O 1.69-1.82
13 V 0.7857 0.7234 0.8424  4 O 1.69-1.81
14 V 0.7857 0.7766 0.3424  4 O 1.69-1.81
15 V 0.9918 0.7462 0.0731  4 O 1.68-1.80
16 V 0.9918 0.7538 0.5731  4 O 1.68-1.80
17 Cr 0.0701 0.0023 0.2598  6 O 1.98-2.06
18 Cr 0.0701 0.4977 0.7598  6 O 1.98-2.06
19 Cr 0.4440 0.5020 0.7763  6 O 1.97-2.04
20 Cr 0.4440 0.9980 0.2763  6 O 1.97-2.04
21 Cr 0.5560 0.0020 0.7237  6 O 1.97-2.04
22 Cr 0.5560 0.4980 0.2237  6 O 1.97-2.04
23 Cr 0.9299 0.5023 0.2402  6 O 1.98-2.06
24 Cr 0.9299 0.9977 0.7402  6 O 1.98-2.06
25 O 0.0312 0.6084 0.6415  1 V 1.68
26 O 0.0312 0.8916 0.1415  1 V 1.68
27 O 0.0872 0.1156 0.6960  1 V 1.69
28 O 0.0872 0.3844 0.1960  1 V 1.69
29 O 0.0906 0.1145 0.3760  1 V 1.69
30 O 0.0906 0.3855 0.8760  1 V 1.69
31 O 0.1018 0.6295 0.3119  1 V 1.70
32 O 0.1018 0.8705 0.8119  1 V 1.70
33 O 0.1339 0.2131 0.0397  2 V 1.79-1.81
34 O 0.1339 0.2869 0.5397  2 V 1.79-1.81
35 O 0.1810 0.6858 0.0556  2 V 1.80
36 O 0.1810 0.8142 0.5556  2 V 1.80
37 O 0.2481 0.1191 0.2270  1 V 1.78
38 O 0.2481 0.3809 0.7270  1 V 1.78
39 O 0.2705 0.6179 0.8150  1 V 1.80
40 O 0.2705 0.8821 0.3150  1 V 1.80
41 O 0.3902 0.6688 0.4614  2 V 1.81-1.82
42 O 0.3902 0.8312 0.9614  2 V 1.81-1.82
43 O 0.3923 0.1415 0.6632  1 V 1.70
44 O 0.3923 0.3585 0.1632  1 V 1.70
45 O 0.3992 0.6140 0.2712  1 V 1.69
46 O 0.3992 0.8860 0.7712  1 V 1.69
47 O 0.4056 0.6120 0.6551  1 V 1.69
48 O 0.4056 0.8880 0.1551  1 V 1.69
49 O 0.4929 0.1193 0.3922  1 V 1.70
50 O 0.4929 0.3807 0.8922  1 V 1.70
51 O 0.5071 0.6193 0.1078  1 V 1.70
52 O 0.5071 0.8807 0.6078  1 V 1.70
53 O 0.5944 0.1120 0.8449  1 V 1.69
54 O 0.5944 0.3880 0.3449  1 V 1.69
55 O 0.6008 0.1140 0.2288  1 V 1.69
56 O 0.6008 0.3860 0.7288  1 V 1.69
57 O 0.6077 0.6415 0.8368  1 V 1.70
58 O 0.6077 0.8585 0.3368  1 V 1.70
59 O 0.6098 0.1688 0.0386  2 V 1.81-1.82
60 O 0.6098 0.3312 0.5386  2 V 1.81-1.82
61 O 0.7295 0.1179 0.6850  1 V 1.80
62 O 0.7295 0.3821 0.1850  1 V 1.80
63 O 0.7519 0.6191 0.2730  1 V 1.78
64 O 0.7519 0.8809 0.7730  1 V 1.78
65 O 0.8190 0.1858 0.4444  2 V 1.80
66 O 0.8190 0.3142 0.9444  2 V 1.80
67 O 0.8661 0.7131 0.4603  2 V 1.79-1.81
68 O 0.8661 0.7869 0.9603  2 V 1.79-1.81
69 O 0.8982 0.1295 0.1881  1 V 1.70
70 O 0.8982 0.3705 0.6881  1 V 1.70
71 O 0.9094 0.6145 0.1240  1 V 1.69
72 O 0.9094 0.8855 0.6240  1 V 1.69
73 O 0.9128 0.6156 0.8040  1 V 1.69
74 O 0.9128 0.8844 0.3040  1 V 1.69
75 O 0.9688 0.1084 0.8585  1 V 1.68
76 O 0.9688 0.3916 0.3585  1 V 1.68

Its symmetry is P2_1/c (14).

***

*ii*
This record from the Materials Project database describes a relaxed structure of V4Cr2O13. The functional is PBE with a Hubbard U.

Lattice parameters (Å, degrees): 8.4842 9.5516 14.9045 90.00 103.11 90.00
With the nearest neighbours (Å) after each atom.
Atoms (fractional coordinates):
1 V 0.0349 0.2107 0.0918  4 O 1.69-1.80
2 V 0.0349 0.2893 0.5918  4 O 1.69-1.80
3 V 0.2426 0.2248 0.3287  4 O 1.69-1.80
4 V 0.2426 0.2752 0.8287  4 O 1.69-1.80
5 V 0.3585 0.7413 0.1724  4 O 1.69-1.80
6 V 0.3585 0.7587 0.6724  4 O 1.69-1.80
7 V 0.4567 0.7094 0.9078  4 O 1.69-1.81
8 V 0.4567 0.7906 0.4078  4 O 1.69-1.81
9 V 0.5433 0.2094 0.5922  4 O 1.69-1.81
10 V 0.5433 0.2906 0.0922  4 O 1.69-1.81
11 V 0.6415 0.2413 0.3276  4 O 1.69-1.80
12 V 0.6415 0.2587 0.8276  4 O 1.69-1.80
13 V 0.7574 0.7248 0.1713  4 O 1.69-1.80
14 V 0.7574 0.7752 0.6713  4 O 1.69-1.80
15 V 0.9651 0.7107 0.4082  4 O 1.69-1.80
16 V 0.9651 0.7893 0.9082  4 O 1.69-1.80
17 Cr 0.1894 0.0017 0.5132  6 O 1.98-2.04
18 Cr 0.1894 0.4983 0.0132  6 O 1.98-2.04
19 Cr 0.3099 0.5008 0.4906  6 O 1.97-2.05
20 Cr 0.3099 0.9992 0.9906  6 O 1.97-2.05
21 Cr 0.6901 0.0008 0.0094  6 O 1.97-2.05
22 Cr 0.6901 0.4992 0.5094  6 O 1.97-2.05
23 Cr 0.8106 0.5017 0.9868  6 O 1.98-2.04
24 Cr 0.8106 0.9983 0.4868  6 O 1.98-2.04
25 O 0.0083 0.1144 0.5467  1 V 1.80
26 O 0.0083 0.3856 0.0467  1 V 1.80
27 O 0.1195 0.2208 0.2140  2 V 1.79-1.80
28 O 0.1195 0.2792 0.7140  2 V 1.79-1.80
29 O 0.1505 0.6361 0.4243  1 V 1.69
30 O 0.1505 0.8639 0.9243  1 V 1.69
31 O 0.1522 0.1152 0.0371  1 V 1.69
32 O 0.1522 0.3848 0.5371  1 V 1.69
33 O 0.1733 0.1123 0.3982  1 V 1.69
34 O 0.1733 0.3877 0.8982  1 V 1.69
35 O 0.2221 0.6153 0.1272  1 V 1.70
36 O 0.2221 0.8847 0.6272  1 V 1.70
37 O 0.2626 0.1123 0.8747  1 V 1.69
38 O 0.2626 0.3877 0.3747  1 V 1.69
39 O 0.3366 0.6138 0.6056  1 V 1.69
40 O 0.3366 0.8862 0.1056  1 V 1.69
41 O 0.3492 0.6176 0.9703  1 V 1.69
42 O 0.3488 0.7131 0.7882  2 V 1.80-1.81
43 O 0.3488 0.7869 0.2882  2 V 1.80-1.81
44 O 0.3492 0.8824 0.4703  1 V 1.69
45 O 0.3585 0.1337 0.5814  1 V 1.70
46 O 0.3585 0.3663 0.0814  1 V 1.70
47 O 0.4435 0.1706 0.3225  2 V 1.80
48 O 0.4435 0.3294 0.8225  2 V 1.80
49 O 0.4895 0.6153 0.4528  1 V 1.80
50 O 0.4895 0.8847 0.9528  1 V 1.80
51 O 0.5105 0.1153 0.0472  1 V 1.80
52 O 0.5105 0.3847 0.5472  1 V 1.80
53 O 0.5565 0.6706 0.1775  2 V 1.80
54 O 0.5565 0.8294 0.6775  2 V 1.80
55 O 0.6415 0.6337 0.9186  1 V 1.70
56 O 0.6415 0.8663 0.4186  1 V 1.70
57 O 0.6508 0.1176 0.5297  1 V 1.69
58 O 0.6512 0.2131 0.7118  2 V 1.80-1.81
59 O 0.6512 0.2869 0.2118  2 V 1.80-1.81
60 O 0.6508 0.3824 0.0297  1 V 1.69
61 O 0.6634 0.1138 0.8944  1 V 1.69
62 O 0.6634 0.3862 0.3944  1 V 1.69
63 O 0.7374 0.6123 0.6253  1 V 1.69
64 O 0.7374 0.8877 0.1253  1 V 1.69
65 O 0.7779 0.1153 0.3728  1 V 1.70
66 O 0.7779 0.3847 0.8728  1 V 1.70
67 O 0.8267 0.6123 0.1018  1 V 1.69
68 O 0.8267 0.8877 0.6018  1 V 1.69
69 O 0.8478 0.6152 0.4629  1 V 1.69
70 O 0.8478 0.8848 0.9629  1 V 1.69
71 O 0.8495 0.1361 0.0757  1 V 1.69
72 O 0.8495 0.3639 0.5757  1 V 1.69
73 O 0.8805 0.7208 0.2860  2 V 1.79-1.80
74 O 0.8805 0.7792 0.7860  2 V 1.79-1.80
75 O 0.9917 0.6144 0.9533  1 V 1.80
76 O 0.9917 0.8856 0.4533  1 V 1.80

Its symmetry is P2_1/c (14).

***

Order of stability, best first: *ii*, *i*